# 1
Below is Na2La2Ta6Si7S5O48 after structural relaxation, with properties calculated at the GGA-PBE level.

E_tot: -7.8296 eV/atom
SG: No. 1
calculated volume: 3285.3 Å³/cell

```
210
Lattice="9.0292 0.0000 0.0000 -0.0052 15.5055 0.0000 -0.0085 -0.0046 23.4660" Properties=species:S:1:pos:R:3 pbc="T T T"
Na 0.0000 0.0000 0.0000
Na -0.0017 15.3114 11.8011
Na 4.2226 7.5818 23.3529
Na 4.2439 7.7608 11.8573
Na 4.3134 12.8541 8.0306
Na 8.8336 5.1167 19.6726
La 0.0618 5.0459 23.0200
La 4.1766 12.7867 11.3371
La 4.4128 7.5174 8.3845
La 4.5031 12.8863 4.2399
La 8.6616 5.1632 16.0892
La 8.8580 15.2911 20.1149
Ta 0.0210 10.2758 12.3158
Ta 4.2262 2.5048 0.5407
Ta 4.3477 2.2009 12.3164
Ta 4.3417 12.7370 16.1596
Ta 4.3672 2.3564 19.0381
Ta 4.3783 2.4395 7.3599
Ta 4.4181 12.7571 22.9466
Ta 4.4554 7.7083 20.1939
Ta 4.4958 7.7785 3.4416
Ta 4.6102 7.6204 15.2511
Ta 8.7327 15.4000 3.4566
Ta 8.7938 0.0332 15.2103
Ta 8.8680 0.0218 8.5064
Ta 8.8764 4.9998 11.2797
Ta 8.9207 5.0025 4.4128
Ta 8.9277 9.9463 0.5563
Ta 8.9183 10.1592 19.0722
Ta 8.9376 9.9929 7.4118
Si 1.0559 12.4168 9.6988
Si 1.1427 7.9378 9.9511
Si 1.1758 2.7165 2.0360
Si 1.2722 7.2871 2.1030
Si 1.8643 2.5269 9.8182
Si 2.3944 10.2392 21.5416
Si 2.9664 15.0280 13.8355
Si 3.0981 10.4098 13.7903
Si 3.1140 0.2150 21.6027
Si 3.1772 4.6703 21.4475
Si 5.5682 5.3775 17.7777
Si 5.6572 0.2230 9.7479
Si 5.7035 15.1438 1.8552
Si 5.7088 9.8683 17.6830
Si 5.7607 10.5305 1.9043
Si 6.2070 15.3249 17.6275
Si 7.0624 7.6037 5.8832
Si 7.5254 2.7543 13.6484
Si 7.5698 2.1012 5.9204
Si 7.5648 7.3925 13.5893
Si 7.5966 7.9728 21.4706
S 1.2034 13.0391 17.5572
S 1.2768 2.1178 17.6223
S 1.6495 12.7809 1.8861
S 1.8634 7.6958 17.7691
S 2.3984 15.4402 6.0380
S 2.5698 5.0171 13.5981
S 2.9666 9.8855 5.9057
S 3.0313 5.2850 5.8233
S 5.7245 4.5179 9.9201
S 6.1899 5.0496 2.1037
S 6.4401 10.2255 9.8170
S 6.8189 2.4659 21.5509
S 7.0968 12.8087 13.8320
S 7.5556 12.2775 21.6517
S 7.7397 13.1539 6.0328
O 0.3675 6.5152 10.1667
O 0.3656 13.9292 9.5047
O 0.3879 3.0440 0.7002
O 0.4910 11.7862 11.1189
O 0.5245 6.4554 3.2951
O 0.5459 11.7124 17.7400
O 0.5635 8.6246 8.5129
O 0.5610 13.7486 16.4376
O 0.5733 8.7729 1.8783
O 0.6028 11.4407 8.4395
O 0.6795 1.1894 2.5441
O 0.7045 1.5389 18.8324
O 0.7331 11.6704 1.5410
O 0.7481 8.9987 11.1389
O 0.7890 3.7230 3.2634
O 0.7989 14.0100 2.1078
O 0.8161 3.4818 17.4553
O 0.8741 1.2773 16.4242
O 0.8928 3.7906 10.1387
O 0.9117 1.1817 9.5739
O 0.9727 8.9469 17.8979
O 0.9856 6.5295 17.7387
O 1.1551 13.7927 18.8028
O 1.3382 6.5276 0.7121
O 1.4154 15.2880 14.2968
O 1.4330 10.0048 22.8504
O 1.4347 10.4960 20.2177
O 1.4458 10.3761 13.5468
O 1.4654 9.8835 6.0164
O 1.5229 0.0021 21.6847
O 1.5314 15.3392 7.2354
O 1.5789 5.0368 5.5466
O 1.5773 4.7549 21.3678
O 1.6009 0.0530 4.7995
O 1.5896 5.2446 12.4635
O 1.8660 4.7050 14.8382
O 2.3521 12.4636 3.1328
O 2.5940 13.0687 0.7699
O 2.6494 7.8582 16.5355
O 2.6505 12.5146 9.6246
O 2.6593 12.7950 17.2796
O 2.6861 7.6323 18.9845
O 2.7332 7.7798 9.9510
O 2.7648 2.0695 17.6956
O 2.8028 2.2237 11.1060
O 2.8076 2.6250 1.8192
O 2.8068 2.7374 8.4779
O 2.8180 7.5544 2.5977
O 2.9152 14.2979 12.4168
O 3.0763 6.0409 7.0689
O 3.2450 1.1953 6.1740
O 3.2849 14.2825 6.0166
O 3.3226 8.9158 21.3280
O 3.3335 9.0576 4.7073
O 3.3384 11.5428 21.8966
O 3.3999 6.2447 13.7214
O 3.4381 11.2578 5.7601
O 3.4713 3.8870 13.2309
O 3.4670 11.4575 14.9888
O 3.4846 1.2143 22.8828
O 3.5252 9.3023 7.1227
O 3.5520 8.8959 14.2589
O 3.6175 3.6585 20.2365
O 3.6758 1.0118 13.6102
O 3.6831 0.9006 20.2234
O 3.6928 3.9560 6.0209
O 3.6847 5.9865 4.7095
O 3.7198 14.1947 15.0099
O 3.7319 4.0148 22.8855
O 3.8433 10.7923 12.4276
O 3.8569 6.1840 21.3378
O 3.8706 14.2735 21.9049
O 4.8930 3.8961 17.9680
O 4.9624 11.2842 0.6867
O 4.9838 6.0932 16.3664
O 5.0103 9.1693 18.9726
O 5.0438 14.7485 3.2560
O 5.0561 1.1192 8.4775
O 5.0526 11.3035 17.2782
O 5.0726 8.9811 2.1012
O 5.0686 14.2643 9.6612
O 5.1265 6.4109 18.9792
O 5.1489 3.7902 11.0412
O 5.1654 5.8738 9.9480
O 5.2413 6.2089 2.4433
O 5.2640 14.0754 17.1610
O 5.2888 1.1453 1.4430
O 5.2965 1.0262 11.1237
O 5.3250 1.1691 17.8399
O 5.3510 3.8596 1.9524
O 5.3890 14.0118 0.6997
O 5.4152 3.8623 8.5965
O 5.4869 8.8560 16.3575
O 5.6227 9.0018 9.8700
O 5.6208 11.2429 3.3225
O 5.6267 11.4396 9.6966
O 5.8932 7.4388 13.8415
O 5.9530 8.0129 21.3800
O 5.9634 2.3072 6.2300
O 5.9660 2.5469 13.2472
O 5.9713 2.4977 22.7596
O 5.9713 7.8653 4.6400
O 6.0307 2.3998 20.2752
O 6.0498 12.3540 21.7612
O 6.1730 12.5864 14.9601
O 6.2656 7.2634 7.2179
O 6.2708 13.0613 6.0156
O 6.4076 13.1909 12.5943
O 6.8791 5.4415 0.8789
O 7.0338 14.9572 18.9367
O 7.1191 4.8509 3.2453
O 7.1721 5.2746 17.8160
O 7.2165 4.5890 10.0240
O 7.2548 10.1562 8.5299
O 7.2803 10.2667 11.0106
O 7.3006 0.0849 16.3682
O 7.3153 0.2428 9.5909
O 7.3184 10.3192 1.5280
O 7.3201 10.0834 17.9715
O 7.3925 15.1862 2.1477
O 7.6376 1.2297 21.6358
O 7.6407 3.6653 21.4784
O 7.6546 3.4792 15.0446
O 7.8330 1.0522 4.6307
O 7.8489 11.6240 20.3484
O 7.8916 6.2651 12.4107
O 7.9460 8.9835 6.1016
O 7.9425 11.6154 13.6523
O 7.9906 8.7702 22.8611
O 7.9995 8.9020 13.1446
O 8.0205 6.3574 5.4385
O 8.0480 13.9545 14.1588
O 8.1055 11.5475 22.7943
O 8.1031 13.6358 21.7070
O 8.1082 14.0461 7.1621
O 8.2077 1.2068 13.8241
O 8.2081 6.5219 21.4007
O 8.2139 8.8750 20.2157
O 8.2309 3.5338 5.5475
O 8.2470 13.7728 4.7423
O 8.2596 1.3383 7.1974
O 8.2732 7.0194 14.9582
O 8.3015 3.5013 12.3980
O 8.3539 11.8216 6.1497
```


# 2
Below is Na6La4Ti4Si5S7O48 after structural relaxation, with properties calculated at the GGA-PBE level.

E_tot: -7.0799 eV/atom
SG: No. 1
calculated volume: 3404.4 Å³/cell

```
222
Lattice="9.1386 0.0000 0.0000 -0.0118 15.8789 0.0000 -0.0136 -0.1762 23.4610" Properties=species:S:1:pos:R:3 pbc="T T T"
Na 0.0000 0.0000 0.0000
Na 0.0072 5.0054 15.5015
Na 0.1294 10.6313 8.1655
Na 1.0756 7.7106 17.6982
Na 1.2697 2.5702 1.9575
Na 3.0765 10.4318 13.4686
Na 3.2688 15.7440 6.0464
Na 4.3235 2.5666 19.9436
Na 4.4126 13.1148 3.8986
Na 4.4750 7.8406 11.6383
Na 4.5577 13.2522 15.9054
Na 4.5821 2.8513 7.9750
Na 4.6016 7.9224 0.3759
Na 5.6028 15.7308 17.7624
Na 8.0121 7.8761 6.0894
Na 8.7765 10.7772 19.8750
Na 8.9109 15.7457 11.9335
Na 9.0801 5.1584 4.3714
La 0.0119 15.7624 3.5211
La 0.1474 10.6929 4.5334
La 4.2922 2.6321 16.2558
La 4.4169 2.5650 4.6370
La 4.4437 7.6620 15.1547
La 4.6544 12.9130 7.8281
La 4.6468 13.0139 19.4125
La 4.6536 13.1390 12.0015
La 8.9467 4.8529 19.5629
La 8.9535 5.0635 7.6230
La 8.9648 5.2608 0.3409
La 9.0199 10.4639 16.2755
Ti 0.0212 10.3713 11.3421
Ti 0.0611 5.0082 12.2972
Ti 0.1266 15.6392 20.1070
Ti 0.1418 15.7102 15.4116
Ti 4.2827 7.8553 3.7069
Ti 4.3108 7.8210 8.3362
Ti 4.3873 13.0313 0.5823
Ti 4.4179 2.3486 23.1306
Ti 4.4599 2.4424 11.5508
Ti 4.6372 7.8593 20.4447
Ti 8.9585 0.1417 8.6291
Ti 9.0771 10.3020 23.3275
Si 1.1118 8.0409 13.7773
Si 1.2529 2.1588 6.1288
Si 1.3328 2.4673 21.8000
Si 1.7347 2.4419 13.7879
Si 1.8229 7.8729 6.0493
Si 2.6053 15.6787 17.7794
Si 2.7033 10.4609 2.0455
Si 3.1230 10.4957 10.0584
Si 3.2962 0.1612 2.0167
Si 5.7200 5.7123 6.0252
Si 5.9962 10.7060 21.7428
Si 6.0631 5.0473 21.7042
Si 7.5688 2.8530 10.0506
Si 7.5688 13.1394 9.9573
Si 7.8470 13.5574 17.7579
S 1.2689 12.8955 13.8187
S 1.2866 13.5242 6.2576
S 1.3859 7.7148 21.5994
S 1.6846 12.9640 21.7980
S 2.7422 5.1166 10.0911
S 3.0353 15.7403 9.9134
S 3.1673 5.5445 17.9996
S 3.1991 5.0346 2.0665
S 3.2025 9.9783 17.8826
S 5.7029 10.0313 5.9817
S 5.9113 0.1870 13.8938
S 5.9102 15.4720 21.7821
S 5.9826 4.7722 13.6783
S 6.3243 10.4970 13.7486
S 6.4202 15.7774 6.2225
S 7.1262 7.7744 17.9599
S 7.1909 2.6169 2.0290
S 7.5968 12.8130 1.9333
S 7.6695 7.5972 10.0442
S 7.6765 8.2461 2.1446
S 7.8791 1.9977 17.7198
O 0.5292 6.5351 13.3979
O 0.5672 1.2324 7.3574
O 0.6141 1.0248 21.4168
O 0.6156 14.2393 13.9783
O 0.6295 9.2593 12.7439
O 0.6440 3.6530 6.1174
O 0.6727 8.4449 15.3176
O 0.6794 3.0511 23.1687
O 0.6794 12.1680 6.3970
O 0.7159 12.2278 12.6388
O 0.7263 9.0305 21.8543
O 0.7681 11.8112 22.0883
O 0.7899 3.7745 13.4036
O 0.7872 7.1275 20.3837
O 0.8102 1.0926 14.0029
O 0.8497 14.1988 21.6405
O 0.8659 14.3769 7.3526
O 0.8882 9.2182 6.1239
O 0.9077 1.5183 4.6516
O 0.9036 6.5666 6.0002
O 0.9029 14.0641 4.9165
O 1.0492 12.0719 15.0466
O 1.2190 3.5102 20.5581
O 1.2471 6.8255 22.7626
O 1.4851 10.2404 10.2893
O 1.5085 10.3359 0.8678
O 1.5970 0.1113 9.7616
O 1.5950 15.7036 19.1109
O 1.6121 15.7498 16.4206
O 1.6560 0.1858 1.8580
O 1.6738 5.4502 17.9586
O 1.7233 5.2098 1.9588
O 1.7053 9.9598 17.9916
O 1.7910 5.3270 11.2307
O 1.9961 10.9215 3.4238
O 2.0326 4.8152 8.8546
O 2.4102 12.6701 20.5465
O 2.4380 2.9106 15.1762
O 2.6309 13.1799 22.9244
O 2.7455 13.0576 13.7232
O 2.7762 8.0630 13.6812
O 2.7860 13.4242 6.2015
O 2.8169 7.9338 4.6863
O 2.8365 7.8937 7.3822
O 2.8509 7.9691 21.3978
O 2.8763 2.0719 6.3501
O 2.9157 2.2925 12.6173
O 2.9652 2.2244 22.0354
O 3.2258 14.8780 11.0931
O 3.2495 11.5617 8.8464
O 3.4086 4.2196 3.2808
O 3.5100 14.3563 17.7319
O 3.5358 6.1335 16.6732
O 3.5663 1.1294 17.8487
O 3.5794 6.3474 9.9540
O 3.5786 9.3801 16.5704
O 3.5989 6.4105 19.0979
O 3.6223 9.1105 2.2212
O 3.6389 11.7927 1.6471
O 3.6391 15.1467 8.7066
O 3.6566 3.9572 10.4051
O 3.7012 11.3701 17.8855
O 3.7398 1.1834 10.1501
O 3.7435 4.3648 0.8723
O 3.7477 9.1914 19.0085
O 3.7735 0.5330 3.5312
O 3.7573 11.0813 11.4409
O 3.7865 4.2004 18.1162
O 3.8287 1.3676 0.9719
O 3.8393 9.0508 9.7042
O 3.8509 6.3825 2.2116
O 3.8959 14.5409 1.6018
O 5.0465 4.2508 6.0702
O 5.1172 3.7511 22.0384
O 5.1168 6.4290 21.3678
O 5.1471 11.4026 5.9372
O 5.1449 11.5690 22.8607
O 5.2014 6.6176 4.6813
O 5.2383 6.5644 7.3921
O 5.2488 9.3415 4.7435
O 5.2759 9.3349 7.2319
O 5.2782 9.1709 21.5360
O 5.2784 14.7195 13.8195
O 5.3085 15.1173 20.4519
O 5.3431 3.9158 12.6677
O 5.3458 6.1161 13.5691
O 5.3697 11.6543 13.8332
O 5.3948 0.9854 22.0683
O 5.4398 0.8035 15.1706
O 5.4584 1.0188 12.7280
O 5.4548 14.6284 6.2053
O 5.4769 9.2505 13.6549
O 5.5038 14.5133 22.8083
O 5.6315 1.1494 6.2992
O 5.7880 4.2129 15.0324
O 6.0171 2.5312 10.5597
O 6.0086 11.4610 20.3367
O 6.1324 12.9519 1.7167
O 6.1961 7.6980 9.9591
O 6.2019 8.1620 2.1246
O 6.2201 7.7498 19.1468
O 6.2178 13.5300 17.7147
O 6.3104 2.7387 0.8565
O 6.3513 7.7689 16.7082
O 6.3911 2.0609 17.7363
O 6.4533 2.5989 3.2999
O 6.6337 13.5869 11.2192
O 6.6550 12.6842 8.6905
O 6.9178 4.6957 20.3701
O 6.9903 5.5508 22.9285
O 7.0325 10.4791 15.0595
O 7.1865 10.0783 6.0025
O 7.1948 15.7075 4.9740
O 7.2174 10.5743 12.6209
O 7.2835 15.7006 7.4310
O 7.3399 5.7334 5.9749
O 7.3877 0.1036 13.8830
O 7.3809 15.5664 21.6751
O 7.4449 4.9282 13.4848
O 7.4991 3.6504 8.6705
O 7.5593 10.3797 22.1953
O 7.7697 12.2206 3.2720
O 7.9847 8.9951 18.0586
O 8.0262 1.3762 1.8941
O 8.0344 6.5945 17.9542
O 8.0807 6.6598 11.0987
O 8.1188 9.0893 0.9643
O 8.1444 8.8698 3.4040
O 8.1545 3.7774 2.1030
O 8.1796 9.0053 10.3535
O 8.2270 11.9313 0.9110
O 8.2441 14.1310 1.8211
O 8.2695 7.2580 8.7337
O 8.2953 1.3490 9.8747
O 8.2997 1.3008 18.9648
O 8.3062 6.9163 2.0375
O 8.3277 1.3108 16.4814
O 8.3104 14.3959 19.1306
O 8.3408 14.4574 16.4164
O 8.4192 3.7469 11.1702
O 8.4370 3.3740 17.6707
O 8.4645 11.7914 10.3438
O 8.4946 14.4690 9.6107
O 8.5239 12.0802 17.8092
```


| no. | energy relative to the elements (eV per atom) |
| --- | --- |
| 1 | -2.87 |
| 2 | -2.76 |